## KNb5Pb2O15 (PBE-GGA)

Data for a relaxed KNb5Pb2O15 crystal.

The structure in POSCAR format:
```
KNb5Pb2O15
1.0
3.9676 0.0000 0.0000
0.0000 9.0159 9.4102
0.0000 -9.0159 9.4102
K Nb Pb O
2 10 4 30
direct
0.0000 0.0000 0.0000
0.0000 0.3460 0.3460
0.5000 0.1093 0.4606
0.5000 0.1669 0.1669
0.5000 0.2593 0.8899
0.5000 0.3937 0.5996
0.5000 0.4606 0.1093
0.5000 0.5996 0.3937
0.5000 0.6763 0.6763
0.5000 0.7498 0.9643
0.5000 0.8899 0.2593
0.5000 0.9643 0.7498
0.0000 0.1903 0.6836
0.0000 0.5444 0.8935
0.0000 0.6836 0.1903
0.0000 0.8935 0.5444
0.0000 0.0829 0.4666
0.0000 0.1637 0.1637
0.0000 0.2444 0.8652
0.0000 0.3661 0.5925
0.0000 0.4666 0.0829
0.0000 0.5925 0.3661
0.0000 0.6677 0.6677
0.0000 0.7322 0.9545
0.0000 0.8652 0.2444
0.0000 0.9545 0.7322
0.5000 0.0094 0.1684
0.5000 0.0150 0.5949
0.5000 0.0933 0.8059
0.5000 0.1656 0.3205
0.5000 0.1684 0.0094
0.5000 0.2339 0.5233
0.5000 0.2955 0.7290
0.5000 0.3205 0.1656
0.5000 0.3868 0.9465
0.5000 0.4581 0.4581
0.5000 0.5117 0.6704
0.5000 0.5233 0.2339
0.5000 0.5949 0.0150
0.5000 0.6598 0.8227
0.5000 0.6704 0.5117
0.5000 0.7290 0.2955
0.5000 0.8059 0.0933
0.5000 0.8227 0.6598
0.5000 0.8801 0.8801
0.5000 0.9465 0.3868
```

Output
The calculated total energy comes out at -373.4 eV per cell. For the formation energy, the calculation gives -2772 meV per atom. As for the symmetry: Amm2, No. 38. As for the density: 5.7 g cm⁻³.